First-principles (GGA+U) data for an optimized crystal structure of MgGa4W2O12, as listed in Materials Project.

Output
* V: 12.9 A^3/atom
* DFT total energy: -121.81 eV for the cell shown
* energy relative to the lowest polymorph listed for this composition: 0.066 eV/atom
* crystal system: orthorhombic
* SG: No. 38

a b c (Å): 5.2383 5.2383 9.2752
angles (deg): 90.00 90.00 74.17
Closest atoms and distances in Å follow each position.
Element x y z (fractional)
Mg 0.2884 0.2884 0.0000  4 O 1.89-1.97
Ga 0.0677 0.0677 0.3361  4 O 1.83-1.97
Ga 0.0677 0.0677 0.6639  4 O 1.83-1.97
Ga 0.5683 0.5684 0.1772  3 O 1.82-1.97
Ga 0.5683 0.5684 0.8228  3 O 1.82-1.97
W 0.9443 0.9443 0.0000  6 O 1.94-2.06
W 0.5542 0.5542 0.5000  1 O 1.75
O 0.1301 0.1301 0.1462  1 Ga 1.84, 1 Mg 1.89
O 0.1301 0.1301 0.8538  1 Ga 1.84, 1 Mg 1.89
O 0.1890 0.1890 0.5000  2 Ga 1.83
O 0.2903 0.6635 0.0000  1 Mg 1.97, 1 W 2.00, 2 Ga 2.16
O 0.3069 0.7052 0.3302  2 Ga 1.97, 1 W 2.06
O 0.3069 0.7052 0.6698  2 Ga 1.97, 1 W 2.06
O 0.7052 0.3069 0.3302  2 Ga 1.97, 1 W 2.06
O 0.7052 0.3069 0.6698  2 Ga 1.97, 1 W 2.06
O 0.6635 0.2903 0.0000  1 Mg 1.97, 1 W 2.00, 2 Ga 2.16
O 0.7641 0.7641 0.5000  1 W 1.75
O 0.7847 0.7847 0.1523  1 Ga 1.82, 1 W 1.94
O 0.7847 0.7847 0.8477  1 Ga 1.82, 1 W 1.94


First-principles (GGA+U) data for an optimized crystal structure of Li2Mn3F8, as listed in Materials Project.

Output
* V: 13.3 A^3/atom
* DFT total energy: -307.42 eV for the cell shown
* energy relative to the lowest polymorph listed for this composition: 0.008 eV/atom
* crystal system: monoclinic
* SG: No. 14

a b c (Å): 10.3690 6.0947 10.9405
angles (deg): 86.34 90.00 90.00
Closest atoms and distances in Å follow each position.
Element x y z (fractional)
Li 0.0523 0.8764 0.7920  4 F 1.93-2.00
Li 0.4477 0.8764 0.2920  4 F 1.93-2.00
Li 0.6459 0.6432 0.8785  4 F 1.84-2.00
Li 0.8541 0.6432 0.3785  4 F 1.84-2.00
Li 0.1459 0.3568 0.6215  4 F 1.84-2.00
Li 0.3541 0.3568 0.1215  4 F 1.84-2.00
Li 0.5523 0.1236 0.7080  4 F 1.93-2.00
Li 0.9477 0.1236 0.2080  4 F 1.93-2.00
Mn 0.3640 0.8860 0.9651  6 F 2.10-2.23
Mn 0.1360 0.8860 0.4651  6 F 2.10-2.23
Mn 0.3568 0.6417 0.7152  6 F 2.10-2.30
Mn 0.6279 0.6445 0.5554  6 F 2.07-2.31
Mn 0.1432 0.6417 0.2152  6 F 2.10-2.30
Mn 0.8721 0.6445 0.0554  6 F 2.07-2.31
Mn 0.1279 0.3555 0.9446  6 F 2.07-2.31
Mn 0.8568 0.3583 0.7848  6 F 2.10-2.30
Mn 0.3721 0.3555 0.4446  6 F 2.07-2.31
Mn 0.6432 0.3583 0.2848  6 F 2.10-2.30
Mn 0.8640 0.1140 0.5349  6 F 2.10-2.23
Mn 0.6360 0.1140 0.0349  6 F 2.10-2.23
F 0.4950 0.8629 0.6309  1 Li 1.94, 2 Mn 2.12-2.14
F 0.2378 0.8598 0.8100  1 Li 1.94, 2 Mn 2.13-2.16
F 0.0111 0.8968 0.6201  1 Li 1.93, 1 Mn 2.14
F 0.7376 0.8500 0.9668  1 Li 1.89, 2 Mn 2.07-2.10
F 0.0050 0.8629 0.1309  1 Li 1.94, 2 Mn 2.12-2.14
F 0.2622 0.8598 0.3100  1 Li 1.94, 2 Mn 2.13-2.16
F 0.4889 0.8968 0.1201  1 Li 1.93, 1 Mn 2.14
F 0.7624 0.8500 0.4668  1 Li 1.89, 2 Mn 2.07-2.10
F 0.4683 0.6387 0.8751  1 Li 1.84
F 0.9834 0.6041 0.8814  1 Li 2.00, 1 Mn 2.21
F 0.7221 0.6041 0.7241  1 Li 1.89, 1 Mn 2.09
F 0.0317 0.6387 0.3751  1 Li 1.84
F 0.5166 0.6041 0.3814  1 Li 2.00, 1 Mn 2.21
F 0.2514 0.6049 0.5459  1 Li 2.00, 2 Mn 2.17-2.23
F 0.7779 0.6041 0.2241  1 Li 1.89, 1 Mn 2.09
F 0.2486 0.6049 0.0459  1 Li 2.00, 2 Mn 2.17-2.23
F 0.7514 0.3951 0.9541  1 Li 2.00, 2 Mn 2.17-2.23
F 0.2221 0.3959 0.7759  1 Li 1.89, 1 Mn 2.09
F 0.7486 0.3951 0.4541  1 Li 2.00, 2 Mn 2.17-2.23
F 0.4834 0.3959 0.6186  1 Li 2.00, 1 Mn 2.21
F 0.9683 0.3613 0.6249  1 Li 1.84
F 0.2779 0.3959 0.2759  1 Li 1.89, 1 Mn 2.09
F 0.0166 0.3959 0.1186  1 Li 2.00, 1 Mn 2.21
F 0.5317 0.3613 0.1249  1 Li 1.84
F 0.2376 0.1500 0.5332  1 Li 1.89, 2 Mn 2.07-2.10
F 0.5111 0.1032 0.8799  1 Li 1.93, 1 Mn 2.14
F 0.7378 0.1402 0.6900  1 Li 1.94, 2 Mn 2.13-2.16
F 0.9950 0.1371 0.8691  1 Li 1.94, 2 Mn 2.12-2.14
F 0.2624 0.1500 0.0332  1 Li 1.89, 2 Mn 2.07-2.10
F 0.9889 0.1032 0.3799  1 Li 1.93, 1 Mn 2.14
F 0.7622 0.1402 0.1900  1 Li 1.94, 2 Mn 2.13-2.16
F 0.5050 0.1371 0.3691  1 Li 1.94, 2 Mn 2.12-2.14


First-principles (GGA+U) data for an optimized crystal structure of LiVO2, as listed in Materials Project.

Output
* V: 9.6 A^3/atom
* DFT total energy: -110.36 eV for the cell shown
* crystal system: monoclinic
* SG: No. 8

a b c (Å): 2.9534 10.5104 5.1627
angles (deg): 75.81 89.98 81.94
Closest atoms and distances in Å follow each position.
Element x y z (fractional)
Li 0.3803 0.2402 0.0480  6 O 2.12-2.30
Li 0.8804 0.2400 0.5470  6 O 2.12-2.29
Li 0.6309 0.7402 0.9637  6 O 2.12-2.29
Li 0.1309 0.7401 0.4638  6 O 2.12-2.29
V 0.2496 0.4997 0.9166  6 O 2.04-2.09
V 0.0002 0.9996 0.3332  6 O 2.04-2.09
V 0.7496 0.4996 0.4166  6 O 2.04-2.09
V 0.5003 0.9997 0.8333  6 O 2.04-2.09
O 0.0566 0.8872 0.7275  3 V 2.04-2.08, 3 Li 2.25-2.29
O 0.5568 0.8870 0.2276  3 V 2.04-2.08, 3 Li 2.25-2.29
O 0.8056 0.3870 0.1347  3 V 2.04-2.08, 2 Li 2.24-2.25
O 0.3055 0.3871 0.6346  3 V 2.04-2.08, 2 Li 2.25
O 0.4428 0.1142 0.4385  3 V 2.05-2.09, 3 Li 2.12-2.14
O 0.9429 0.1142 0.9387  3 V 2.05-2.09, 3 Li 2.12-2.14
O 0.1928 0.6142 0.1971  3 V 2.05-2.09, 3 Li 2.12-2.14
O 0.6927 0.6143 0.6972  3 V 2.05-2.09, 3 Li 2.12-2.14


First-principles (GGA+U) data for an optimized crystal structure of Li2V3P4O14, as listed in Materials Project.

Output
* V: 11.3 A^3/atom
* DFT total energy: -334.54 eV for the cell shown
* energy relative to the lowest polymorph listed for this composition: 0.026 eV/atom

a b c (Å): 7.0889 7.4808 10.5446
angles (deg): 75.58 76.09 80.08
Closest atoms and distances in Å follow each position.
Element x y z (fractional)
Li 0.6909 0.6904 0.3344  4 O 2.03-2.09
Li 0.1910 0.6903 0.8344  4 O 2.03-2.09
Li 0.3091 0.3096 0.6656  4 O 2.03-2.09
Li 0.8090 0.3096 0.1656  4 O 2.03-2.09
V 0.4998 0.0005 0.5000  6 O 2.22-2.25
V 0.6615 0.3113 0.8538  5 O 2.14-2.28
V 0.3386 0.6887 0.1462  5 O 2.14-2.28
V 0.9996 0.0001 0.9999  6 O 2.22-2.25
V 0.1605 0.3113 0.3539  5 O 2.14-2.28
V 0.8396 0.6885 0.6462  5 O 2.14-2.28
P 0.2707 0.6561 0.4656  4 O 1.52-1.63
P 0.7705 0.6560 0.9657  4 O 1.52-1.63
P 0.7295 0.3440 0.5344  4 O 1.52-1.63
P 0.2295 0.3439 0.0343  4 O 1.52-1.63
P 0.9822 0.9321 0.3311  4 O 1.52-1.60
P 0.4823 0.9321 0.8311  4 O 1.52-1.60
P 0.0178 0.0679 0.6688  4 O 1.52-1.60
P 0.5177 0.0678 0.1689  4 O 1.52-1.60
O 0.0398 0.8506 0.2040  1 P 1.55
O 0.5400 0.8506 0.7040  1 P 1.55
O 0.9601 0.1494 0.7960  1 P 1.55
O 0.4600 0.1495 0.2960  1 P 1.55
O 0.3029 0.5500 0.3523  1 P 1.55
O 0.8030 0.5500 0.8524  1 P 1.55
O 0.6972 0.4500 0.6477  1 P 1.55
O 0.1970 0.4499 0.1477  1 P 1.55
O 0.9722 0.1422 0.3009  1 P 1.52
O 0.4723 0.1422 0.8010  1 P 1.52
O 0.0279 0.8578 0.6991  1 P 1.52
O 0.5277 0.8578 0.1990  1 P 1.52
O 0.4544 0.7170 0.4838  1 P 1.52
O 0.9544 0.7168 0.9838  1 P 1.52
O 0.5456 0.2832 0.5162  1 P 1.52
O 0.0456 0.2831 0.0162  1 P 1.52
O 0.1510 0.8581 0.4148  2 P 1.60-1.63
O 0.6510 0.8581 0.9148  2 P 1.60-1.63
O 0.8490 0.1419 0.5852  2 P 1.60-1.63
O 0.3490 0.1419 0.0852  2 P 1.60-1.63
O 0.8562 0.4477 0.4072  1 P 1.53
O 0.3564 0.4476 0.9071  1 P 1.53
O 0.1439 0.5523 0.5928  1 P 1.53
O 0.6436 0.5523 0.0929  1 P 1.53
O 0.2040 0.1430 0.5725  1 P 1.55
O 0.7040 0.1429 0.0725  1 P 1.56
O 0.7959 0.8571 0.4275  1 P 1.55
O 0.2959 0.8571 0.9275  1 P 1.56


First-principles (GGA+U) data for an optimized crystal structure of Fe2C2O7, as listed in Materials Project.

Output
* V: 16.0 A^3/atom
* DFT total energy: -237.39 eV for the cell shown
* energy relative to the lowest polymorph listed for this composition: 0.000 eV/atom
* crystal system: monoclinic
* SG: No. 5

a b c (Å): 8.5300 8.5300 8.3838
angles (deg): 89.41 89.41 60.23
Closest atoms and distances in Å follow each position.
Element x y z (fractional)
Fe 0.6682 0.6663 0.8220  4 O 1.81-1.94
Fe 0.3337 0.3318 0.1780  4 O 1.81-1.94
Fe 0.6663 0.6665 0.2560  4 O 1.82-1.94
Fe 0.3335 0.3337 0.7440  4 O 1.82-1.94
Fe 0.9996 0.0023 0.2849  4 O 1.80-1.94
Fe 0.9977 0.0004 0.7151  4 O 1.80-1.94
C 0.0018 0.3391 0.2739  3 O 1.29-1.30
C 0.6609 0.9982 0.7261  3 O 1.29-1.30
C 0.6635 0.0001 0.2680  3 O 1.29-1.30
C 0.9999 0.3365 0.7320  3 O 1.29-1.30
C 0.3329 0.6643 0.2657  3 O 1.29-1.30
C 0.3357 0.6671 0.7343  3 O 1.29-1.30
O 0.9997 0.0003 0.5000  2 Fe 1.80
O 0.9321 0.2406 0.7872  1 C 1.29
O 0.7594 0.0679 0.2128  1 C 1.29
O 0.8374 0.4250 0.3289  1 C 1.30
O 0.5750 0.1626 0.6711  1 C 1.30
O 0.9053 0.5105 0.7321  1 C 1.29
O 0.4895 0.0947 0.2679  1 C 1.29
O 0.6695 0.6697 0.0383  2 Fe 1.81-1.82
O 0.3303 0.3305 0.9617  2 Fe 1.81-1.82
O 0.1639 0.2593 0.6762  1 C 1.30
O 0.7407 0.8361 0.3238  1 C 1.30
O 0.5100 0.5863 0.7360  1 C 1.29
O 0.4137 0.4900 0.2640  1 C 1.29
O 0.8218 0.9322 0.7835  1 C 1.29
O 0.0678 0.1782 0.2165  1 C 1.29
O 0.5832 0.9013 0.7239  1 C 1.29
O 0.0987 0.4168 0.2761  1 C 1.29
O 0.4191 0.7433 0.3180  1 C 1.30
O 0.2567 0.5809 0.6820  1 C 1.30
O 0.2411 0.8310 0.7844  1 C 1.29
O 0.1690 0.7589 0.2156  1 C 1.29


First-principles (GGA+U) data for an optimized crystal structure of Li2MnSiO4, as listed in Materials Project.

Output
* V: 11.1 A^3/atom
* DFT total energy: -221.20 eV for the cell shown
* energy relative to the lowest polymorph listed for this composition: 0.000 eV/atom
* crystal system: triclinic
* SG: No. 2

a b c (Å): 5.0930 6.3747 10.8975
angles (deg): 90.00 90.02 90.02
Closest atoms and distances in Å follow each position.
Element x y z (fractional)
Li 0.1814 0.0005 0.5876  4 O 1.97-2.02
Li 0.3184 0.4995 0.0877  4 O 1.97-2.02
Li 0.1814 0.4981 0.5876  4 O 1.97-2.02
Li 0.6815 0.5004 0.9131  4 O 1.97-2.02
Li 0.8186 0.5018 0.4132  4 O 1.97-2.02
Li 0.6815 0.9982 0.9132  4 O 1.97-2.02
Li 0.8186 0.9994 0.4131  4 O 1.97-2.02
Li 0.3184 0.0018 0.0876  4 O 1.97-2.02
Mn 0.1810 0.7491 0.8334  4 O 2.08-2.11
Mn 0.8189 0.2511 0.1675  4 O 2.08-2.11
Mn 0.3189 0.7510 0.3338  4 O 2.08-2.11
Mn 0.6811 0.2488 0.6669  4 O 2.08-2.11
Si 0.8254 0.7508 0.1615  4 O 1.65-1.67
Si 0.6744 0.7490 0.6613  4 O 1.65-1.67
Si 0.3256 0.2508 0.3395  4 O 1.65-1.67
Si 0.1746 0.2493 0.8393  4 O 1.65-1.67
O 0.1501 0.7507 0.1575  1 Si 1.65
O 0.3497 0.7495 0.6572  1 Si 1.65
O 0.6503 0.2507 0.3436  1 Si 1.65
O 0.8499 0.2492 0.8433  1 Si 1.65
O 0.7700 0.7496 0.8076  1 Si 1.67
O 0.7300 0.7506 0.3076  1 Si 1.67
O 0.2701 0.2492 0.6932  1 Si 1.67
O 0.2300 0.2507 0.1931  1 Si 1.67
O 0.7121 0.9632 0.0922  1 Si 1.65
O 0.7880 0.9610 0.5918  1 Si 1.65
O 0.7119 0.5387 0.0919  1 Si 1.65
O 0.7876 0.5368 0.5921  1 Si 1.65
O 0.2122 0.4630 0.4087  1 Si 1.65
O 0.2880 0.4616 0.9088  1 Si 1.65
O 0.2122 0.0387 0.4089  1 Si 1.65
O 0.2881 0.0371 0.9087  1 Si 1.65


The total magnetization results, record by record, are as follows: 2.0, 5.0, 0.0, 0.0, 3.3, 0.0 μB per formula unit.